(1)
{
  "formula": "AlNi3",
  "functional": "meta-GGA r2SCAN",
  "state": "optimized geometry",
  "lattice_angstrom": [[3.5231, 0.0000, 0.0000], [0.0000, 3.5231, 0.0000], [0.0000, 0.0000, 3.5231]],
  "species": ["Al", "Ni", "Ni", "Ni"],
  "fractional_positions": [[0.0000, 0.0000, 0.0000], [0.0000, 0.5000, 0.5000], [0.5000, 0.0000, 0.5000], [0.5000, 0.5000, 0.0000]],
  "e_form_ev_per_atom": -0.426,
  "magmom_total_mub_per_atom": 0.23
}

(2)
{
  "formula": "Al3Ni5",
  "functional": "meta-GGA r2SCAN",
  "state": "optimized geometry",
  "lattice_angstrom": [[3.2778, -3.7005, 0.0000], [3.2778, 3.7005, 0.0000], [0.0000, 0.0000, 3.7253]],
  "species": ["Al", "Al", "Al", "Ni", "Ni", "Ni", "Ni", "Ni"],
  "fractional_positions": [[0.0000, 0.0000, 0.0000], [0.2787, 0.7213, 0.5000], [0.7213, 0.2787, 0.5000], [0.0000, 0.5000, 0.0000], [0.2241, 0.2241, 0.5000], [0.5000, 0.0000, 0.0000], [0.5000, 0.5000, 0.0000], [0.7759, 0.7759, 0.5000]],
  "e_form_ev_per_atom": -0.563,
  "magmom_total_mub_per_atom": 0.00
}

(3)
{
  "formula": "AlNi3",
  "functional": "meta-GGA r2SCAN",
  "state": "optimized geometry",
  "lattice_angstrom": [[0.0000, 2.8019, 2.8019], [2.8019, 0.0000, 2.8019], [2.8019, 2.8019, 0.0000]],
  "species": ["Al", "Ni", "Ni", "Ni"],
  "fractional_positions": [[0.0000, 0.0000, 0.0000], [0.2500, 0.2500, 0.2500], [0.5000, 0.5000, 0.5000], [0.7500, 0.7500, 0.7500]],
  "e_form_ev_per_atom": -0.354,
  "magmom_total_mub_per_atom": 0.00
}

(4)
{
  "formula": "AlNi3",
  "functional": "meta-GGA r2SCAN",
  "state": "optimized geometry",
  "lattice_angstrom": [[5.0091, 0.0000, 0.0000], [-2.5046, 4.3380, 0.0000], [0.0000, 0.0000, 4.0403]],
  "species": ["Al", "Al", "Ni", "Ni", "Ni", "Ni", "Ni", "Ni"],
  "fractional_positions": [[0.3333, 0.6667, 0.2500], [0.6667, 0.3333, 0.7500], [0.1643, 0.3285, 0.7500], [0.1643, 0.8357, 0.7500], [0.3285, 0.1643, 0.2500], [0.6715, 0.8357, 0.7500], [0.8357, 0.1643, 0.2500], [0.8357, 0.6715, 0.2500]],
  "e_form_ev_per_atom": -0.405,
  "magmom_total_mub_per_atom": 0.23
}

(5)
{
  "formula": "Al4Ni3",
  "functional": "meta-GGA r2SCAN",
  "state": "optimized geometry",
  "lattice_angstrom": [[-5.6558, 5.6558, 5.6558], [5.6558, -5.6558, 5.6558], [5.6558, 5.6558, -5.6558]],
  "species": ["Al", "Al", "Al", "Al", "Al", "Al", "Al", "Al", "Al", "Al", "Al", "Al", "Al", "Al", "Al", "Al", "Al", "Al", "Al", "Al", "Al", "Al", "Al", "Al", "Al", "Al", "Al", "Al", "Al", "Al", "Al", "Al", "Ni", "Ni", "Ni", "Ni", "Ni", "Ni", "Ni", "Ni", "Ni", "Ni", "Ni", "Ni", "Ni", "Ni", "Ni", "Ni", "Ni", "Ni", "Ni", "Ni", "Ni", "Ni", "Ni", "Ni"],
  "fractional_positions": [[0.0000, 0.0000, 0.0000], [0.0000, 0.0000, 0.5000], [0.0000, 0.5000, 0.0000], [0.0000, 0.5000, 0.5000], [0.0083, 0.2500, 0.2583], [0.0083, 0.2583, 0.7500], [0.2417, 0.2500, 0.4917], [0.2417, 0.4917, 0.7500], [0.2500, 0.2583, 0.0083], [0.2500, 0.4917, 0.2417], [0.2500, 0.7583, 0.5083], [0.2500, 0.9917, 0.7417], [0.2583, 0.0083, 0.2500], [0.2583, 0.7500, 0.0083], [0.4917, 0.2417, 0.2500], [0.4917, 0.7500, 0.2417], [0.5000, 0.0000, 0.0000], [0.5000, 0.0000, 0.5000], [0.5000, 0.5000, 0.0000], [0.5000, 0.5000, 0.5000], [0.5083, 0.2500, 0.7583], [0.5083, 0.7583, 0.7500], [0.7417, 0.2500, 0.9917], [0.7417, 0.9917, 0.7500], [0.7500, 0.0083, 0.2583], [0.7500, 0.2417, 0.4917], [0.7500, 0.5083, 0.7583], [0.7500, 0.7417, 0.9917], [0.7583, 0.5083, 0.2500], [0.7583, 0.7500, 0.5083], [0.9917, 0.7417, 0.2500], [0.9917, 0.7500, 0.7417], [0.0061, 0.0122, 0.7561], [0.0061, 0.4939, 0.2500], [0.0122, 0.7561, 0.0061], [0.2439, 0.7500, 0.2561], [0.2439, 0.9939, 0.9878], [0.2500, 0.0061, 0.4939], [0.2500, 0.7439, 0.7561], [0.2561, 0.2439, 0.7500], [0.2561, 0.5122, 0.5061], [0.4878, 0.4939, 0.7439], [0.4939, 0.2500, 0.0061], [0.4939, 0.7439, 0.4878], [0.5061, 0.2561, 0.5122], [0.5061, 0.7500, 0.9939], [0.5122, 0.5061, 0.2561], [0.7439, 0.4878, 0.4939], [0.7439, 0.7561, 0.2500], [0.7500, 0.2561, 0.2439], [0.7500, 0.9939, 0.5061], [0.7561, 0.0061, 0.0122], [0.7561, 0.2500, 0.7439], [0.9878, 0.2439, 0.9939], [0.9939, 0.5061, 0.7500], [0.9939, 0.9878, 0.2439]],
  "e_form_ev_per_atom": -0.657,
  "magmom_total_mub_per_atom": 0.00
}

(6)
{
  "formula": "Al2NiOs",
  "functional": "meta-GGA r2SCAN",
  "state": "optimized geometry",
  "lattice_angstrom": [[0.0000, 2.9380, 2.9380], [2.9380, 0.0000, 2.9380], [2.9380, 2.9380, 0.0000]],
  "species": ["Al", "Al", "Ni", "Os"],
  "fractional_positions": [[0.2500, 0.2500, 0.2500], [0.7500, 0.7500, 0.7500], [0.0000, 0.0000, 0.0000], [0.5000, 0.5000, 0.5000]],
  "e_form_ev_per_atom": -0.608,
  "magmom_total_mub_per_atom": 0.00
}

(7)
{
  "formula": "PrAl4Ni",
  "functional": "meta-GGA r2SCAN",
  "state": "optimized geometry",
  "lattice_angstrom": [[2.0606, -7.9145, 0.0000], [2.0606, 7.9145, 0.0000], [0.0000, 0.0000, 6.5914]],
  "species": ["Pr", "Pr", "Al", "Al", "Al", "Al", "Al", "Al", "Al", "Al", "Ni", "Ni"],
  "fractional_positions": [[0.1136, 0.8864, 0.7500], [0.8864, 0.1136, 0.2500], [0.0801, 0.9199, 0.2500], [0.3073, 0.6927, 0.5540], [0.3073, 0.6927, 0.9460], [0.5000, 0.5000, 0.0000], [0.5000, 0.5000, 0.5000], [0.6927, 0.3073, 0.0540], [0.6927, 0.3073, 0.4460], [0.9199, 0.0801, 0.7500], [0.2248, 0.7752, 0.2500], [0.7752, 0.2248, 0.7500]],
  "e_form_ev_per_atom": -0.564,
  "magmom_total_mub_per_atom": 0.00
}

(8)
{
  "formula": "PrAl2Ni",
  "functional": "meta-GGA r2SCAN",
  "state": "optimized geometry",
  "lattice_angstrom": [[2.0253, -5.5400, 0.0000], [2.0253, 5.5400, 0.0000], [0.0000, 0.0000, 6.8857]],
  "species": ["Pr", "Pr", "Al", "Al", "Al", "Al", "Ni", "Ni"],
  "fractional_positions": [[0.0527, 0.9473, 0.7500], [0.9473, 0.0527, 0.2500], [0.3262, 0.6738, 0.5581], [0.3262, 0.6738, 0.9419], [0.6738, 0.3262, 0.0581], [0.6738, 0.3262, 0.4419], [0.2184, 0.7816, 0.2500], [0.7816, 0.2184, 0.7500]],
  "e_form_ev_per_atom": -0.610,
  "magmom_total_mub_per_atom": 0.00
}